{"formula": "Fe4O5F3", "functional": "PBE+U", "state": "relaxed", "crystal_system": "triclinic", "spacegroup": "No. 1", "e_above_lowest_polymorph_mev_per_atom": 607, "energy_ev_per_atom": -5.47, "formation_energy_ev_per_atom": -1.264, "lattice": [[-4.695, -0.385, 0.574], [-0.190, -3.769, -6.709], [1.428, -5.522, 5.178]], "species": ["F", "F", "F", "F", "F", "F", "O", "O", "O", "O", "O", "O", "O", "O", "O", "O", "Fe", "Fe", "Fe", "Fe", "Fe", "Fe", "Fe", "Fe"], "fractional_positions": [[0.796, 0.968, 0.224], [0.199, 0.030, 0.778], [0.699, 0.597, 0.097], [0.185, 0.287, 0.535], [0.197, 0.524, 0.271], [0.808, 0.476, 0.725], [0.691, 0.343, 0.351], [0.308, 0.403, 0.902], [0.299, 0.144, 0.163], [0.305, 0.657, 0.642], [0.816, 0.211, 0.974], [0.694, 0.845, 0.842], [0.319, 0.912, 0.408], [0.178, 0.782, 0.033], [0.696, 0.102, 0.597], [0.817, 0.721, 0.459], [0.992, 0.254, 0.765], [0.516, 0.344, 0.106], [0.997, 0.993, 0.998], [0.024, 0.758, 0.258], [0.498, 0.133, 0.383], [0.984, 0.512, 0.498], [0.536, 0.863, 0.612], [0.445, 0.640, 0.880]]}

***

{"formula": "Li4Cr3Co3Sn2O16", "functional": "PBE+U", "state": "relaxed", "crystal_system": "monoclinic", "spacegroup": "No. 8", "e_above_lowest_polymorph_mev_per_atom": 22, "energy_ev_per_atom": -6.35, "formation_energy_ev_per_atom": -1.953, "lattice": [[-1.900, -3.327, -4.496], [1.968, 1.091, -5.461], [7.379, -6.176, 1.300]], "species": ["Cr", "Cr", "Cr", "O", "O", "O", "O", "O", "O", "O", "O", "O", "O", "O", "O", "O", "O", "O", "O", "Co", "Co", "Co", "Li", "Li", "Li", "Li", "Sn", "Sn"], "fractional_positions": [[0.340, 0.830, 0.215], [0.830, 0.340, 0.215], [0.171, 0.171, 0.714], [0.675, 0.675, 0.111], [0.679, 0.156, 0.103], [0.321, 0.842, 0.599], [0.838, 0.838, 0.605], [0.519, 0.519, 0.340], [0.000, 0.000, 0.807], [0.485, 0.485, 0.839], [0.842, 0.321, 0.599], [0.484, 0.037, 0.838], [0.338, 0.338, 0.608], [0.529, 0.967, 0.333], [0.158, 0.158, 0.099], [0.994, 0.994, 0.308], [0.037, 0.484, 0.838], [0.156, 0.679, 0.103], [0.967, 0.529, 0.333], [0.831, 0.831, 0.215], [0.170, 0.662, 0.715], [0.662, 0.170, 0.715], [0.337, 0.337, 0.395], [0.998, 0.998, 0.494], [0.670, 0.670, 0.895], [0.998, 0.998, 0.994], [0.667, 0.667, 0.491], [0.333, 0.333, 0.992]]}